The following is a DFT calculation (GGA-PBE) of a relaxed structure of ZnTe2.

abc: 4.1862 4.1862 5.1991
angles: 90.00 90.00 120.00
Element x y z (fractional)
Zn 0.0000 0.0000 0.0000
Te 0.6667 0.3333 0.7160
Te 0.3333 0.6667 0.2840

Calculated values
uncorrected energy = -0.189 Ry per atom
energy relative to the elements = -0.332 eV per atom



The following is a DFT calculation (GGA-PBE) of a relaxed structure of Zr5Te4.

abc: 7.9375 7.9375 7.9375
angles: 93.40 93.40 151.80
Element x y z (fractional)
Zr 0.3701 0.6906 0.0607
Zr 0.6299 0.3094 0.9393
Zr 0.6906 0.6299 0.3204
Zr 0.0000 0.0000 0.0000
Te 0.9464 0.7192 0.6656
Te 0.2808 0.9464 0.2272
Zr 0.3094 0.3701 0.6796
Te 0.7192 0.0536 0.7728
Te 0.0536 0.2808 0.3344

Calculated values
uncorrected energy = -0.515 Ry per atom
energy relative to the elements = -1.045 eV per atom



The following is a DFT calculation (GGA-PBE) of a relaxed structure of ZrTe2.

abc: 3.9842 3.9842 6.9956
angles: 90.00 90.00 120.00
Element x y z (fractional)
Zr 0.0000 0.0000 0.0000
Te 0.6667 0.3333 0.7433
Te 0.3333 0.6667 0.2567

Calculated values
uncorrected energy = -0.428 Ry per atom
energy relative to the elements = -1.162 eV per atom



The following is a DFT calculation (GGA-PBE) of a relaxed structure of Zr2Te3.

abc: 7.8989 7.8989 7.8989
angles: 52.54 52.54 52.54
Element x y z (fractional)
Te 0.2687 0.9236 0.5725
Te 0.5725 0.2687 0.9236
Te 0.7313 0.0764 0.4275
Te 0.4275 0.7313 0.0764
Zr 0.8396 0.8396 0.8396
Te 0.9236 0.5725 0.2687
Zr 0.0000 0.0000 0.0000
Te 0.0764 0.4275 0.7313
Zr 0.1604 0.1604 0.1604
Zr 0.5000 0.5000 0.5000

Calculated values
uncorrected energy = -0.456 Ry per atom
energy relative to the elements = -1.154 eV per atom



The following is a DFT calculation (GGA-PBE) of a relaxed structure of ZrTe.

abc: 3.8040 7.0097 7.4510
angles: 90.00 90.00 90.00
Element x y z (fractional)
Zr 0.2500 0.8109 0.5083
Zr 0.2500 0.6891 0.0083
Te 0.7500 0.5733 0.2910
Zr 0.7500 0.3109 0.9917
Te 0.7500 0.9267 0.7910
Te 0.2500 0.0733 0.2090
Te 0.2500 0.4267 0.7090
Zr 0.7500 0.1891 0.4917

Calculated values
uncorrected energy = -0.494 Ry per atom
energy relative to the elements = -1.085 eV per atom



The following is a DFT calculation (GGA-PBE) of a relaxed structure of Zr2Te.

abc: 3.8558 10.7705 20.1148
angles: 90.00 90.00 90.00
Element x y z (fractional)
Zr 0.2500 0.8907 0.4846
Te 0.2500 0.6613 0.5728
Zr 0.2500 0.0778 0.6457
Te 0.2500 0.0381 0.2602
Zr 0.2500 0.4222 0.1457
Zr 0.7500 0.9222 0.3543
Zr 0.2500 0.1467 0.3959
Te 0.2500 0.7807 0.8692
Zr 0.7500 0.1093 0.5154
Te 0.2500 0.4619 0.7602
Zr 0.7500 0.6467 0.1041
Te 0.2500 0.7193 0.3692
Zr 0.7500 0.3907 0.0154
Zr 0.7500 0.8883 0.9670
Zr 0.7500 0.5424 0.6586
Zr 0.7500 0.2524 0.2757
Te 0.7500 0.2193 0.1308
Te 0.7500 0.5381 0.2398
Te 0.7500 0.3387 0.4272
Zr 0.2500 0.6093 0.9846
Zr 0.2500 0.4576 0.3414
Zr 0.2500 0.3883 0.5330
Zr 0.2500 0.7524 0.2243
Te 0.7500 0.2807 0.6308
Zr 0.7500 0.8533 0.6041
Te 0.7500 0.9619 0.7398
Zr 0.7500 0.9576 0.1586
Zr 0.2500 0.0424 0.8414
Zr 0.7500 0.2476 0.7757
Te 0.7500 0.1613 0.9272
Zr 0.2500 0.3533 0.8959
Te 0.2500 0.8387 0.0728
Zr 0.7500 0.5778 0.8543
Zr 0.7500 0.6117 0.4670
Zr 0.2500 0.1117 0.0330
Zr 0.2500 0.7476 0.7243

Calculated values
uncorrected energy = -0.543 Ry per atom
energy relative to the elements = -0.786 eV per atom



The following is a DFT calculation (GGA-PBE) of a relaxed structure of ZrTe.

abc: 3.7994 3.7994 3.8986
angles: 90.00 90.00 120.00
Element x y z (fractional)
Zr 0.0000 0.0000 0.0000
Te 0.3333 0.6667 0.5000

Calculated values
uncorrected energy = -0.496 Ry per atom
energy relative to the elements = -1.109 eV per atom



The following is a DFT calculation (GGA-PBE) of a relaxed structure of ZrTe.

abc: 3.7359 3.7359 8.1557
angles: 90.00 90.00 120.00
Element x y z (fractional)
Te 0.0000 0.0000 0.0000
Zr 0.3333 0.6667 0.2500
Te 0.0000 0.0000 0.5000
Zr 0.6667 0.3333 0.7500

Calculated values
uncorrected energy = -0.476 Ry per atom
energy relative to the elements = -0.835 eV per atom



The following is a DFT calculation (GGA-PBE) of a relaxed structure of ZrTe.

abc: 3.7503 3.7503 7.9364
angles: 90.00 90.00 120.00
Element x y z (fractional)
Te 0.6667 0.3333 0.2500
Zr 0.0000 0.0000 0.5000
Te 0.3333 0.6667 0.7500
Zr 0.0000 0.0000 0.0000

Calculated values
uncorrected energy = -0.492 Ry per atom
energy relative to the elements = -1.054 eV per atom



The following is a DFT calculation (GGA-PBE) of a relaxed structure of Th.

abc: 3.4737 3.4737 3.4737
angles: 109.47 109.47 109.47
Element x y z (fractional)
Th 0.0000 0.0000 0.0000

Calculated values
energy above the lowest structure with this stoichiometry = 159 meV per atom
uncorrected energy = -0.533 Ry per atom
energy relative to the elements = 0.159 eV per atom



The following is a DFT calculation (GGA-PBE) of a relaxed structure of Th.

abc: 3.5647 3.5647 3.5647
angles: 60.00 60.00 60.00
Element x y z (fractional)
Th 0.0000 0.0000 0.0000

Calculated values
energy above the lowest structure with this stoichiometry = 0 meV per atom
uncorrected energy = -0.545 Ry per atom
energy relative to the elements = 0.000 eV per atom



The following is a DFT calculation (GGA-PBE) of a relaxed structure of ThTi3.

abc: 4.9305 4.9305 4.9305
angles: 122.74 122.74 85.32
Element x y z (fractional)
Th 0.0000 0.0000 0.0000
Ti 0.7500 0.2500 0.5000
Ti 0.2500 0.7500 0.5000
Ti 0.5000 0.5000 0.0000

Calculated values
uncorrected energy = -0.560 Ry per atom
energy relative to the elements = 0.156 eV per atom



The following is a DFT calculation (GGA-PBE) of a relaxed structure of Th3Ti.

abc: 6.8874 6.8874 5.6444
angles: 90.00 90.00 120.00
Element x y z (fractional)
Th 0.6491 0.8246 0.2500
Th 0.1754 0.3509 0.2500
Ti 0.3333 0.6667 0.7500
Th 0.8246 0.1754 0.7500
Ti 0.6667 0.3333 0.2500
Th 0.1754 0.8246 0.2500
Th 0.3509 0.1754 0.7500
Th 0.8246 0.6491 0.7500

Calculated values
uncorrected energy = -0.540 Ry per atom
energy relative to the elements = 0.188 eV per atom